(1)
Here is an optimized crystal structure of CdRhO3 from Materials Project. Energies are from PBE.

Calculated values
Space-group type: Pm-3m
Magnetization, μB/cell: 1.29
Volume, Å³/f.u.: 61.70
Formation enthalpy at 0 K, eV per atom: -0.85
Energy with MP2020 corrections, eV/atom: -5.4794

```
CdRhO3
1.0
3.952 0.000 0.000
0.000 3.952 0.000
0.000 0.000 3.952
Cd Rh O
1 1 3
Cartesian
0.000 0.000 0.000
1.976 1.976 1.976
0.000 1.976 1.976
1.976 0.000 1.976
1.976 1.976 0.000
```

=====

(2)
Here is an optimized crystal structure of EuHCl from Materials Project. Energies are from PBE.

Calculated values
Space-group type: P4/nmm
Volume, Å³/f.u.: 56.43
Formation enthalpy at 0 K, eV per atom: -1.72
Energy with MP2020 corrections, eV/atom: -6.8866

```
EuHCl
1.0
4.020 0.000 0.000
0.000 4.020 0.000
0.000 0.000 6.984
Eu H Cl
2 2 2
Cartesian
1.005 1.005 1.391
3.015 3.015 5.593
1.005 3.015 0.000
3.015 1.005 0.000
1.005 1.005 4.539
3.015 3.015 2.444
```

=====

(3)
Here is an optimized crystal structure of Na2CuAsF6 from Materials Project. Energies are from PBE.

Calculated values
Space-group type: Fm-3m
Magnetization, μB/cell: 0.00
Volume, Å³/f.u.: 150.05
Formation enthalpy at 0 K, eV per atom: -2.25
Energy with MP2020 corrections, eV/atom: -4.5357

```
Na2CuAsF6
1.0
0.000 4.218 4.218
4.218 0.000 4.218
4.218 4.218 0.000
Na Cu As F
2 1 1 6
Cartesian
2.109 2.109 2.109
6.326 6.326 6.326
0.000 0.000 0.000
4.218 4.218 4.218
4.218 4.218 2.146
4.218 2.146 4.218
6.289 4.218 4.218
2.146 4.218 4.218
4.218 6.289 4.218
4.218 4.218 6.289
```

=====

(4)
Here is an optimized crystal structure of BaZnCl4 from Materials Project. Energies are from PBE.

Calculated values
Space-group type: Pbcn
Volume, Å³/f.u.: 178.50
Formation enthalpy at 0 K, eV per atom: -2.26
Energy with MP2020 corrections, eV/atom: -4.0236

```
BaZnCl4
1.0
6.594 0.000 0.000
0.000 15.597 0.000
0.000 0.000 6.942
Ba Zn Cl
4 4 16
Cartesian
0.000 2.013 1.736
0.000 13.584 5.207
3.297 5.785 5.207
3.297 9.812 1.736
0.000 6.092 1.736
0.000 9.506 5.207
3.297 1.707 5.207
3.297 13.890 1.736
0.964 4.677 0.183
0.964 10.920 3.654
1.621 0.587 6.297
1.621 15.011 2.826
1.676 7.212 2.826
1.676 8.385 6.297
2.333 3.121 3.654
2.333 12.476 0.183
4.261 3.121 6.759
4.261 12.476 3.288
4.918 7.212 0.645
4.918 8.385 4.116
4.973 0.587 4.116
4.973 15.011 0.645
5.630 4.677 3.288
5.630 10.920 6.759
```